Entry 1:
Density functional theory data (meta-GGA r2SCAN) for crystalline Na3Hg2 at its relaxed geometry.

Computed properties:
The calculated volume comes out at 546 Å³/cell. For the energy of formation, the calculation gives -0.23 eV per atom. Its space-group type is P4_2/mnm, No. 136.

Cell lengths 7.7759, 8.3785, 8.3785 Å; angles 90.00, 90.00, 90.00 degrees
Last column: nearest neighbours and their distance in Å.
Positions (direct):
Na  0.2500  0.5000  0.0000  4 Hg 3.33, 4 Na 3.58
Na  0.7500  0.0000  0.5000  4 Hg 3.33, 4 Na 3.58
Na  0.5000  0.3606  0.6394  6 Hg 3.15-3.28, 1 Na 3.30
Hg  0.6914  0.8734  0.1266  2 Hg 2.98-3.00, 6 Na 3.12-3.28
Hg  0.3086  0.1266  0.8734  2 Hg 2.98-3.00, 6 Na 3.12-3.28
Hg  0.8086  0.3734  0.3734  2 Hg 2.98-3.00, 6 Na 3.12-3.28
Hg  0.6914  0.1266  0.8734  2 Hg 2.98-3.00, 6 Na 3.12-3.28
Na  0.0000  0.2949  0.7051  6 Hg 3.12-3.22
Na  0.0000  0.1394  0.1394  6 Hg 3.15-3.28, 1 Na 3.30
Na  0.2500  0.0000  0.5000  4 Hg 3.33, 4 Na 3.58
Na  0.7500  0.5000  0.0000  4 Hg 3.33, 4 Na 3.58
Na  0.5000  0.2051  0.2051  6 Hg 3.12-3.22
Hg  0.8086  0.6266  0.6266  2 Hg 2.98-3.00, 6 Na 3.12-3.28
Na  0.5000  0.6394  0.3606  6 Hg 3.15-3.28, 1 Na 3.30
Hg  0.1914  0.6266  0.6266  2 Hg 2.98-3.00, 6 Na 3.12-3.28
Na  0.5000  0.7949  0.7949  6 Hg 3.12-3.22
Na  0.0000  0.7051  0.2949  6 Hg 3.12-3.22
Hg  0.1914  0.3734  0.3734  2 Hg 2.98-3.00, 6 Na 3.12-3.28
Na  0.0000  0.8606  0.8606  6 Hg 3.15-3.28, 1 Na 3.30
Hg  0.3086  0.8734  0.1266  2 Hg 2.98-3.00, 6 Na 3.12-3.28

Entry 2:
Density functional theory data (meta-GGA r2SCAN) for crystalline UPCl10 at its relaxed geometry.

Computed properties:
The calculated volume comes out at 722 Å³/cell. For the energy of formation, the calculation gives -1.33 eV per atom. Its space-group type is P-1, No. 2.

Cell lengths 7.1978, 7.5242, 13.8918 Å; angles 91.05, 91.04, 106.37 degrees
Last column: nearest neighbours and their distance in Å.
Positions (direct):
U  0.0000  0.0000  0.0000  6 Cl 2.52-2.54
Cl  0.7601  0.6875  0.0249  1 U 2.53
P  0.3823  0.5890  0.2614  4 Cl 1.93-1.94
Cl  0.1342  0.5220  0.1933  1 P 1.94
Cl  0.5317  0.8339  0.2252  1 P 1.93
Cl  0.8658  0.4780  0.8067  1 P 1.94
Cl  0.2399  0.3125  0.9751  1 U 2.53
Cl  0.8797  0.7087  0.3948  1 U 2.54
P  0.6177  0.4110  0.7386  4 Cl 1.93-1.94
Cl  0.6593  0.4151  0.6010  1 P 1.94
Cl  0.2439  0.8369  0.9417  1 U 2.54
Cl  0.1203  0.2913  0.6052  1 U 2.54
Cl  0.4786  0.5884  0.7737  1 P 1.94
Cl  0.1337  0.8167  0.6202  1 U 2.53
Cl  0.1206  0.0029  0.1713  1 U 2.52
Cl  0.8794  0.9971  0.8287  1 U 2.52
Cl  0.4683  0.1661  0.7748  1 P 1.93
Cl  0.3213  0.0836  0.4174  1 U 2.52
Cl  0.8663  0.1833  0.3798  1 U 2.53
Cl  0.5214  0.4116  0.2263  1 P 1.94
Cl  0.6787  0.9164  0.5826  1 U 2.52
Cl  0.3407  0.5849  0.3990  1 P 1.94
Cl  0.7561  0.1631  0.0583  1 U 2.54
U  0.0000  0.0000  0.5000  6 Cl 2.52-2.54

Entry 3:
Density functional theory data (meta-GGA r2SCAN) for crystalline RbSr2I5 at its relaxed geometry.

Computed properties:
The calculated volume comes out at 1344 Å³/cell. For the energy of formation, the calculation gives -1.90 eV per atom. Its space-group type is P2_1/c, No. 14.

Cell lengths 9.1519, 10.1324, 14.4950 Å; angles 89.78, 90.00, 90.00 degrees
Last column: nearest neighbours and their distance in Å.
Positions (direct):
I  0.6658  0.7820  0.6818  3 Sr 3.38-3.62
I  0.6601  0.9583  0.4006  4 Sr 3.34-3.54
I  0.1601  0.0417  0.0994  4 Sr 3.34-3.54
I  0.8399  0.9583  0.9006  4 Sr 3.34-3.54
Sr  0.0230  0.9970  0.3199  8 I 3.41-3.62
I  0.1658  0.2180  0.8182  3 Sr 3.38-3.62
I  0.3286  0.4613  0.5845  2 Sr 3.27-3.38, 1 Rb 3.67
Rb  0.5450  0.5056  0.1704  8 I 3.67-4.09
Rb  0.4550  0.4944  0.8296  8 I 3.67-4.09
I  0.1714  0.4613  0.0845  2 Sr 3.27-3.38, 1 Rb 3.67
I  0.9563  0.2156  0.4973  3 Sr 3.41-3.52, 1 Rb 3.81
I  0.1919  0.7708  0.7832  3 Sr 3.41-3.52, 1 Rb 3.75
Rb  0.0450  0.4944  0.3296  8 I 3.67-4.09
I  0.5437  0.2156  0.9973  3 Sr 3.41-3.52, 1 Rb 3.81
I  0.8286  0.5387  0.9155  2 Sr 3.27-3.38, 1 Rb 3.67
I  0.4563  0.7844  0.0027  3 Sr 3.41-3.52, 1 Rb 3.81
Sr  0.9770  0.0030  0.6801  8 I 3.41-3.62
I  0.3399  0.0417  0.5994  4 Sr 3.34-3.54
Sr  0.4266  0.7515  0.5059  7 I 3.27-3.52
Sr  0.0734  0.7515  0.0059  7 I 3.27-3.52
I  0.6714  0.5387  0.4155  2 Sr 3.27-3.38, 1 Rb 3.67
Sr  0.4770  0.9970  0.8199  8 I 3.41-3.62
Rb  0.9550  0.5056  0.6704  8 I 3.67-4.09
I  0.8081  0.2292  0.2168  3 Sr 3.41-3.52, 1 Rb 3.75
Sr  0.9266  0.2485  0.9941  7 I 3.27-3.52
Sr  0.5734  0.2485  0.4941  7 I 3.27-3.52
I  0.0437  0.7844  0.5027  3 Sr 3.41-3.52, 1 Rb 3.81
I  0.8342  0.7820  0.1818  3 Sr 3.38-3.62
Sr  0.5230  0.0030  0.1801  8 I 3.41-3.62
I  0.3342  0.2180  0.3182  3 Sr 3.38-3.62
I  0.6919  0.2292  0.7168  3 Sr 3.41-3.52, 1 Rb 3.75
I  0.3081  0.7708  0.2832  3 Sr 3.41-3.52, 1 Rb 3.75

Entry 4:
Density functional theory data (meta-GGA r2SCAN) for crystalline InCuO2 at its relaxed geometry.

Computed properties:
The calculated volume comes out at 110 Å³/cell. For the energy of formation, the calculation gives -1.34 eV per atom. Its space-group type is P6_3/mmc, No. 194.

Cell lengths 3.3126, 3.3126, 11.5628 Å; angles 90.00, 90.00, 120.00 degrees
Last column: nearest neighbours and their distance in Å.
Positions (direct):
O  0.3333  0.6667  0.0917  1 Cu 1.83
Cu  0.3333  0.6667  0.2500  2 O 1.83
O  0.6667  0.3333  0.9083  1 Cu 1.83
Cu  0.6667  0.3333  0.7500  2 O 1.83
In  0.0000  0.0000  0.0000  6 O 2.19
In  0.0000  0.0000  0.5000  6 O 2.19
O  0.3333  0.6667  0.4083  1 Cu 1.83
O  0.6667  0.3333  0.5917  1 Cu 1.83

Entry 5:
Density functional theory data (meta-GGA r2SCAN) for crystalline MgZn3 at its relaxed geometry.

Computed properties:
The calculated volume comes out at 124 Å³/cell. For the energy of formation, the calculation gives -0.06 eV per atom. Its space-group type is P6_3/mmc, No. 194.

Cell lengths 5.7324, 5.7324, 4.3656 Å; angles 90.00, 90.00, 120.00 degrees
Last column: nearest neighbours and their distance in Å.
Positions (direct):
Mg  0.6667  0.3333  0.7500  12 Zn 2.78-2.87
Zn  0.3203  0.1601  0.2500  8 Zn 2.70-2.98, 4 Mg 2.78-2.87
Zn  0.1601  0.3203  0.7500  8 Zn 2.70-2.98, 4 Mg 2.78-2.87
Mg  0.3333  0.6667  0.2500  12 Zn 2.78-2.87
Zn  0.6797  0.8399  0.7500  8 Zn 2.70-2.98, 4 Mg 2.78-2.87
Zn  0.8399  0.6797  0.2500  8 Zn 2.70-2.98, 4 Mg 2.78-2.87
Zn  0.8399  0.1601  0.2500  8 Zn 2.70-2.98, 4 Mg 2.78-2.87
Zn  0.1601  0.8399  0.7500  8 Zn 2.70-2.98, 4 Mg 2.78-2.87

Entry 6:
Density functional theory data (meta-GGA r2SCAN) for crystalline CoTc3 at its relaxed geometry.

Computed properties:
The calculated volume comes out at 105 Å³/cell. For the energy of formation, the calculation gives -0.01 eV per atom. Its space-group type is P6_3/mmc, No. 194.

Cell lengths 5.3300, 5.3298, 4.2807 Å; angles 90.00, 90.00, 120.00 degrees
Last column: nearest neighbours and their distance in Å.
Positions (direct):
Tc  0.6659  0.8329  0.2500  4 Co 2.63-2.66, 8 Tc 2.64-2.67
Tc  0.1670  0.8330  0.2500  4 Co 2.63-2.66, 8 Tc 2.64-2.67
Tc  0.1670  0.3340  0.2500  4 Co 2.63-2.67, 8 Tc 2.64-2.67
Tc  0.8330  0.6660  0.7500  4 Co 2.63-2.67, 8 Tc 2.64-2.67
Tc  0.8330  0.1670  0.7500  4 Co 2.63-2.66, 8 Tc 2.64-2.67
Co  0.3333  0.6667  0.7500  12 Tc 2.63-2.67
Co  0.6667  0.3333  0.2500  12 Tc 2.63-2.67
Tc  0.3341  0.1671  0.7500  4 Co 2.63-2.66, 8 Tc 2.64-2.67

Calculated total magnetic moment, 0.000, 0.083, 0.000, 0.000, 0.000, 0.115 μB/atom (same order as the records).